(1)
DFT (PBE) results for crystalline CuSnPd2 at its relaxed geometry.

```
data_CuSnPd2
_chemical_formula_sum 'Cu1 Sn1 Pd2'
_cell_length_a 4.002
_cell_length_b 4.002
_cell_length_c 3.906
_cell_angle_alpha 90.00
_cell_angle_beta 90.00
_cell_angle_gamma 90.00
_symmetry_space_group_name_H-M 'P 1'
_symmetry_Int_Tables_number 1
loop_
_symmetry_equiv_pos_as_xyz
'x,y,z'
loop_
_atom_site_label
_atom_site_type_symbol
_atom_site_fract_x
_atom_site_fract_y
_atom_site_fract_z
Cu1 Cu 0.000 0.000 0.000
Sn1 Sn 0.500 0.500 0.000
Pd1 Pd 0.000 0.500 0.500
Pd2 Pd 0.500 0.000 0.500
```

Output
ρ = 10.5 g cm⁻³
magnetization = 0.0 μB per formula unit
total DFT energy (no corrections) = -4.99 eV/atom

(2)
DFT (PBE) results for crystalline CoC2N2 at its relaxed geometry.

```
data_CoC2N2
_chemical_formula_sum 'Co2 C4 N4'
_cell_length_a 5.762
_cell_length_b 5.762
_cell_length_c 5.762
_cell_angle_alpha 90.00
_cell_angle_beta 90.00
_cell_angle_gamma 90.00
_symmetry_space_group_name_H-M 'P 1'
_symmetry_Int_Tables_number 1
loop_
_symmetry_equiv_pos_as_xyz
'x,y,z'
loop_
_atom_site_label
_atom_site_type_symbol
_atom_site_fract_x
_atom_site_fract_y
_atom_site_fract_z
Co1 Co 0.000 0.000 0.000
Co2 Co 0.500 0.500 0.500
C1 C 0.191 0.191 0.191
C2 C 0.191 0.809 0.809
C3 C 0.809 0.191 0.809
C4 C 0.809 0.809 0.191
N1 N 0.309 0.309 0.309
N2 N 0.309 0.691 0.691
N3 N 0.691 0.309 0.691
N4 N 0.691 0.691 0.309
```

Output
distance to the lowest polymorph of the same formula = 39 kJ/mol of formula units
ρ = 1.9 g cm⁻³
magnetization = 3.0 μB per formula unit
total DFT energy (no corrections) = -7.98 eV/atom